This record from Materials Project describes crystalline Ca at its relaxed geometry. The functional is r²SCAN.

Structure (POSCAR):
```
Ca
1.0
3.912 0.000 0.000
0.000 6.865 0.000
0.000 0.000 6.480
Ca
4
Cartesian
0.000 1.100 1.620
0.000 5.766 4.860
1.956 2.333 4.860
1.956 4.532 1.620
```

Energy of formation from the pure elements: 0.01 eV per formula unit
Final energy: -7.028 eV per atom
ρ: 1.5 Mg/m³

This record from Materials Project describes crystalline Ca at its relaxed geometry. The functional is r²SCAN.

Structure (POSCAR):
```
Ca
1.0
3.958 0.000 0.000
-1.979 3.427 0.000
0.000 0.000 12.869
Ca
4
Cartesian
0.000 0.000 0.000
0.000 0.000 6.435
0.000 2.285 3.217
1.979 1.142 9.652
```

Energy of formation from the pure elements: 0.01 eV per formula unit
Final energy: -7.029 eV per atom
ρ: 1.5 Mg/m³

This record from Materials Project describes crystalline Ca at its relaxed geometry. The functional is r²SCAN.

Structure (POSCAR):
```
Ca
1.0
7.446 0.000 0.000
0.000 7.456 0.000
0.000 0.000 6.660
Ca
8
Cartesian
1.272 1.271 0.000
1.272 6.185 3.330
2.451 2.457 3.330
2.451 4.998 0.000
4.995 2.457 0.000
4.995 4.998 3.330
6.174 1.271 3.330
6.174 6.185 0.000
```

Energy of formation from the pure elements: 0.18 eV per formula unit
Final energy: -6.859 eV per atom
ρ: 1.4 Mg/m³

This record from Materials Project describes crystalline Ca at its relaxed geometry. The functional is r²SCAN.

Structure (POSCAR):
```
Ca
1.0
4.404 0.000 0.000
0.000 4.404 0.000
0.000 0.000 4.404
Ca
2
Cartesian
0.000 0.000 0.000
2.202 2.202 2.202
```

Energy of formation from the pure elements: 0.01 eV per formula unit
Final energy: -7.033 eV per atom
ρ: 1.6 Mg/m³

This record from Materials Project describes crystalline CaCd3 at its relaxed geometry. The functional is r²SCAN.

Structure (POSCAR):
```
CaCd3
1.0
6.703 0.000 0.000
-3.352 5.805 0.000
0.000 0.000 4.999
Ca Cd
2 6
Cartesian
0.000 3.870 1.250
3.352 1.935 3.749
0.000 1.827 3.749
-1.769 4.891 3.749
1.583 0.914 1.250
1.769 4.891 3.749
5.121 0.914 1.250
3.352 3.978 1.250
```

Energy of formation from the pure elements: -1.10 eV per formula unit
Final energy: -17.113 eV per atom
ρ: 6.4 Mg/m³

This record from Materials Project describes crystalline CaCd2 at its relaxed geometry. The functional is r²SCAN.

Structure (POSCAR):
```
CaCd2
1.0
4.938 0.000 0.000
0.000 7.578 0.000
0.000 0.000 8.396
Ca Cd
4 8
Cartesian
0.000 1.894 0.348
0.000 5.683 8.048
2.469 1.894 3.850
2.469 5.683 4.546
0.000 0.363 5.579
0.000 3.426 5.579
0.000 4.152 2.816
0.000 7.215 2.816
2.469 0.363 7.014
2.469 3.426 7.014
2.469 4.152 1.382
2.469 7.215 1.382
```

Energy of formation from the pure elements: -1.10 eV per formula unit
Final energy: -16.117 eV per atom
ρ: 5.6 Mg/m³

This record from Materials Project describes crystalline CaCd2 at its relaxed geometry. The functional is r²SCAN.

Structure (POSCAR):
```
CaCd2
1.0
6.038 0.000 0.000
-3.019 5.229 0.000
0.000 0.000 9.523
Ca Cd
4 8
Cartesian
0.000 3.486 0.573
0.000 3.486 4.188
3.019 1.743 5.335
3.019 1.743 8.950
0.000 0.000 0.000
0.000 0.000 4.761
0.000 1.785 7.142
-1.473 4.336 7.142
1.546 0.893 2.381
1.473 4.336 7.142
4.492 0.893 2.381
3.019 3.444 2.381
```

Energy of formation from the pure elements: -1.09 eV per formula unit
Final energy: -16.112 eV per atom
ρ: 5.9 Mg/m³

This record from Materials Project describes crystalline Ca20Cd3Ga9 at its relaxed geometry. The functional is r²SCAN.

Structure (POSCAR):
```
Ca20Cd3Ga9
1.0
8.042 0.000 0.000
0.000 8.042 0.000
0.000 0.000 14.917
Ca Cd Ga
20 3 9
Cartesian
0.000 0.000 3.657
0.000 0.000 11.260
1.403 2.618 9.112
1.403 5.425 5.805
1.463 2.667 13.313
1.463 5.375 1.604
2.618 1.403 5.805
2.618 6.640 9.112
2.667 1.463 1.604
2.667 6.579 13.313
4.021 4.021 3.697
4.021 4.021 11.220
5.375 1.463 13.313
5.375 6.579 1.604
5.425 1.403 9.112
5.425 6.640 5.805
6.579 2.667 1.604
6.579 5.375 13.313
6.640 2.618 5.805
6.640 5.425 9.112
0.000 0.000 0.000
0.000 0.000 7.459
4.021 4.021 7.459
0.891 3.120 3.709
0.891 4.922 11.208
3.120 0.891 11.208
3.120 7.152 3.709
4.021 4.021 0.000
4.922 0.891 3.709
4.922 7.152 11.208
7.152 3.120 11.208
7.152 4.922 3.709
```

Energy of formation from the pure elements: -12.85 eV per formula unit
Final energy: -9.903 eV per atom
ρ: 3.0 Mg/m³